Entry 1:
# Li4Mn5NiO12 | the Materials Project database | PBE with a Hubbard U | optimized geometry
data_Li4Mn5NiO12
_space_group_name_H-M_alt 'C 1 2/m 1'
_space_group_IT_number 12
_cell_length_a 5.1229
_cell_length_b 8.8917
_cell_length_c 10.2521
_cell_angle_alpha 90.00
_cell_angle_beta 90.54
_cell_angle_gamma 90.00
loop_
_space_group_symop_operation_xyz
'x,y,z'
'-x,-y,-z'
'-x,y,-z'
'x,-y,z'
'x+1/2,y+1/2,z'
'-x+1/2,-y+1/2,-z'
'-x+1/2,y+1/2,-z'
'x+1/2,-y+1/2,z'
loop_
_atom_site_label
_atom_site_fract_x
_atom_site_fract_y
_atom_site_fract_z
_atom_site_occupancy
Li1 0.0863 0.2476 0.2485 1
Mn1 0.0000 0.1636 0.5000 1
Mn2 0.0000 0.3370 0.0000 1
Mn3 0.0000 0.5000 0.5000 1
Ni1 0.0000 0.0000 0.0000 1
O1 0.1484 0.5000 0.9019 1
O2 0.1622 0.3186 0.6084 1
O3 0.1742 0.0000 0.5941 1
O4 0.1763 0.1810 0.8956 1
# - E_tot: -284.18 eV for the cell shown
# - Energy relative to the elements: -42.61 eV per formula unit

Entry 2:
# Ba2MgNi2O6 | the Materials Project database | PBE with a Hubbard U | optimized geometry
data_Ba2MgNi2O6
_space_group_name_H-M_alt 'C 1 m 1'
_space_group_IT_number 8
_cell_length_a 10.6264
_cell_length_b 5.4987
_cell_length_c 5.4940
_cell_angle_alpha 90.00
_cell_angle_beta 104.27
_cell_angle_gamma 90.00
loop_
_space_group_symop_operation_xyz
'x,y,z'
'x,-y,z'
'x+1/2,y+1/2,z'
'x+1/2,-y+1/2,z'
loop_
_atom_site_label
_atom_site_fract_x
_atom_site_fract_y
_atom_site_fract_z
_atom_site_occupancy
Ba1 0.0000 0.0000 0.0000 1
Ba2 0.0783 0.5000 0.6086 1
Mg1 0.2343 0.5000 0.1951 1
Ni1 0.2651 0.0000 0.6677 1
Ni2 0.3258 0.0000 0.1896 1
O1 0.0346 0.5000 0.1164 1
O2 0.0806 0.0000 0.5207 1
O3 0.2681 0.2409 0.9473 1
O4 0.3257 0.2320 0.4424 1
# - E_tot: -117.26 eV for the cell shown
# - Relative energy among the computed polymorphs: 27 meV/atom
# - Energy relative to the elements: -21.15 eV per formula unit

Entry 3:
# VCrO4 | the Materials Project database | PBE with a Hubbard U | optimized geometry
data_VCrO4
_space_group_name_H-M_alt 'I m m a'
_space_group_IT_number 74
_space_group_name_Hall '-I 2b 2'
_cell_length_a 5.8319
_cell_length_b 6.1723
_cell_length_c 7.8414
_cell_angle_alpha 90.00
_cell_angle_beta 90.00
_cell_angle_gamma 90.00
loop_
_atom_site_label
_atom_site_fract_x
_atom_site_fract_y
_atom_site_fract_z
_atom_site_occupancy
V1 0.0000 0.2500 0.1141 1
Cr1 0.0000 0.0000 0.5000 1
O1 0.0000 0.0308 0.2434 1
O2 0.2284 0.2500 0.5023 1
# - E_tot: -183.48 eV for the cell shown
# - Energy relative to the elements: -13.79 eV per formula unit

Entry 4:
# YNiO3 | the Materials Project database | PBE with a Hubbard U | optimized geometry
data_YNiO3
_space_group_name_H-M_alt 'P 63/m m c'
_space_group_IT_number 194
_space_group_name_Hall '-P 6c 2c'
_cell_length_a 3.5475
_cell_length_b 3.5475
_cell_length_c 11.3657
_cell_angle_alpha 90.00
_cell_angle_beta 90.00
_cell_angle_gamma 120.00
loop_
_atom_site_label
_atom_site_fract_x
_atom_site_fract_y
_atom_site_fract_z
_atom_site_occupancy
Y1 0.0000 0.0000 0.0000 1
Ni1 0.3333 0.6667 0.2500 1
O1 0.0000 0.0000 0.2500 1
O2 0.3333 0.6667 0.0884 1
# - E_tot: -67.17 eV for the cell shown
# - Energy relative to the elements: -11.10 eV per formula unit

Entry 5:
# LiFe6O4F8 | the Materials Project database | PBE with a Hubbard U | optimized geometry
data_LiFe6O4F8
_space_group_name_H-M_alt 'P 1'
_space_group_IT_number 1
_cell_length_a 5.7823
_cell_length_b 5.8594
_cell_length_c 7.8287
_cell_angle_alpha 68.25
_cell_angle_beta 69.61
_cell_angle_gamma 70.53
loop_
_space_group_symop_operation_xyz
'x,y,z'
loop_
_atom_site_label
_atom_site_fract_x
_atom_site_fract_y
_atom_site_fract_z
_atom_site_occupancy
Li1 0.0000 0.0000 0.0000 1
Fe1 0.0027 0.5270 0.9754 1
Fe2 0.0242 0.4896 0.4905 1
Fe3 0.3061 0.8435 0.6635 1
Fe4 0.3904 0.8109 0.1677 1
Fe5 0.6366 0.1900 0.8114 1
Fe6 0.6513 0.1905 0.3352 1
O1 0.3182 0.1865 0.4906 1
O2 0.3522 0.4951 0.8253 1
O3 0.6715 0.5112 0.1542 1
O4 0.9511 0.8798 0.8213 1
F1 0.0654 0.1304 0.1631 1
F2 0.0938 0.6418 0.1788 1
F3 0.2454 0.7403 0.4632 1
F4 0.3884 0.9505 0.8665 1
F5 0.6269 0.0533 0.1352 1
F6 0.7130 0.8046 0.4999 1
F7 0.7747 0.2712 0.5109 1
F8 0.9212 0.3751 0.8071 1
# - E_tot: -109.91 eV for the cell shown
# - Relative energy among the computed polymorphs: 3 meV/atom
# - Energy relative to the elements: -42.06 eV per formula unit

Entry 6:
# CaCrBiO5 | the Materials Project database | PBE with a Hubbard U | optimized geometry
data_CaCrBiO5
_space_group_name_H-M_alt 'P b c a'
_space_group_IT_number 61
_cell_length_a 5.5388
_cell_length_b 15.5963
_cell_length_c 11.4050
_cell_angle_alpha 90.00
_cell_angle_beta 90.00
_cell_angle_gamma 90.00
loop_
_space_group_symop_operation_xyz
'x,y,z'
'-x,-y,-z'
'-x+1/2,-y,z+1/2'
'x+1/2,y,-z+1/2'
'x+1/2,-y+1/2,-z'
'-x+1/2,y+1/2,z'
'-x,y+1/2,-z+1/2'
'x,-y+1/2,z+1/2'
loop_
_atom_site_label
_atom_site_fract_x
_atom_site_fract_y
_atom_site_fract_z
_atom_site_occupancy
Ca1 0.0034 0.0519 0.1410 1
Cr1 0.0168 0.0971 0.5948 1
Bi1 0.0494 0.7329 0.1551 1
O1 0.0603 0.1948 0.6714 1
O2 0.1237 0.5271 0.8146 1
O3 0.1646 0.6249 0.0252 1
O4 0.2054 0.5664 0.5436 1
O5 0.2388 0.1516 0.2665 1
# - E_tot: -422.07 eV for the cell shown
# - Relative energy among the computed polymorphs: 0 meV/atom
# - Energy relative to the elements: -17.90 eV per formula unit